# Mg6ZnW PBE-GGA optimized geometry
# Total DFT energy (no corrections) in Ha/atom: -0.0996
# Theoretical density in g/cm³: 4.234
data_Mg6ZnW
_chemical_formula_sum 'Mg12 Zn2 W2'
_symmetry_space_group_name_H-M 'P 1'
_symmetry_Int_Tables_number 1
_cell_length_a 4.8668
_cell_length_b 5.9943
_cell_length_c 10.6213
_cell_angle_alpha 90.00
_cell_angle_beta 90.00
_cell_angle_gamma 90.00
loop_
_symmetry_equiv_pos_as_xyz
'x,y,z'
loop_
_atom_site_label
_atom_site_type_symbol
_atom_site_fract_x
_atom_site_fract_y
_atom_site_fract_z
Mg1 Mg 0.5000 0.2404 0.5876
Mg2 Mg 0.0000 0.2475 0.9185
Mg3 Mg 0.0000 0.7475 0.4185
Mg4 Mg 0.5000 0.0000 0.8236
Mg5 Mg 0.0000 0.7525 0.9185
Mg6 Mg 0.5000 0.7596 0.5876
Mg7 Mg 0.5000 0.5000 0.8291
Mg8 Mg 0.5000 0.7404 0.0876
Mg9 Mg 0.5000 0.2596 0.0876
Mg10 Mg 0.5000 0.5000 0.3236
Mg11 Mg 0.0000 0.2525 0.4185
Mg12 Mg 0.5000 0.0000 0.3291
Zn1 Zn 0.0000 0.5000 0.6660
Zn2 Zn 0.0000 0.0000 0.1660
W1 W 0.0000 0.0000 0.6692
W2 W 0.0000 0.5000 0.1692